Entry 1:
Here is a geometry-optimized BiOs3C9O9 structure from Materials Project. Energies are from PBE-GGA.

Output
The calculation puts the corrected total energy (MP2020 scheme) at -365.206 eV/cell. Its relative energy among the computed polymorphs is 0.000 eV per atom.

Cell lengths 7.6472, 9.5670, 13.0583 Å; angles 91.27, 105.29, 105.00 degrees
Space group P-1 (No. 2)
Unique sites:
Bi: 0.0013 0.2930 0.4176 (multiplicity 2)
Os: 0.0330 0.9457 0.7211 (multiplicity 2)
Os: 0.1746 0.3950 0.2594 (multiplicity 2)
Os: 0.1866 0.7466 0.8249 (multiplicity 2)
C: 0.0144 0.0469 0.8452 (multiplicity 2)
C: 0.1693 0.0165 0.3850 (multiplicity 2)
C: 0.1994 0.1036 0.6846 (multiplicity 2)
C: 0.2145 0.5559 0.8080 (multiplicity 2)
C: 0.2349 0.5975 0.2884 (multiplicity 2)
C: 0.2384 0.3977 0.1265 (multiplicity 2)
C: 0.3184 0.7725 0.9718 (multiplicity 2)
C: 0.3997 0.8676 0.7907 (multiplicity 2)
C: 0.4056 0.3883 0.3555 (multiplicity 2)
O: 0.0061 0.8839 0.0870 (multiplicity 2)
O: 0.2424 0.4451 0.7898 (multiplicity 2)
O: 0.2555 0.7219 0.3029 (multiplicity 2)
O: 0.2907 0.9915 0.4503 (multiplicity 2)
O: 0.2957 0.4059 0.0521 (multiplicity 2)
O: 0.3094 0.1989 0.6627 (multiplicity 2)
O: 0.4001 0.7891 0.0621 (multiplicity 2)
O: 0.4519 0.6191 0.5872 (multiplicity 2)
O: 0.4688 0.0722 0.2360 (multiplicity 2)



Entry 2:
Here is a geometry-optimized NaEuNbInO6 structure from Materials Project. Energies are from PBE-GGA.

Output
The calculation puts the corrected total energy (MP2020 scheme) at -317.988 eV/cell.

Cell lengths 8.2507, 8.2507, 8.2507 Å; angles 90.00, 90.00, 90.00 degrees
Space group F-43m (No. 216)
Unique sites:
Na: 0.0000 0.0000 0.0000 (multiplicity 4)
Eu: 0.0000 0.0000 0.5000 (multiplicity 4)
Nb: 0.2500 0.2500 0.2500 (multiplicity 4)
In: 0.2500 0.2500 0.7500 (multiplicity 4)
O: 0.0076 0.2500 0.2500 (multiplicity 24)



Entry 3:
Here is a geometry-optimized UGe2Rh2 structure from Materials Project. Energies are from PBE-GGA.

Output
Its relative energy among the computed polymorphs is 0.423 eV per atom.

Cell lengths 5.0314, 5.0314, 7.6129 Å; angles 90.00, 90.00, 90.00 degrees
Space group P4mm (No. 99)
Unique sites:
U: 0.0000 0.0000 0.0000 (multiplicity 1)
U: 0.5000 0.5000 0.3574 (multiplicity 1)
Ge: 0.0000 0.0000 0.3487 (multiplicity 1)
Ge: 0.0000 0.0000 0.6538 (multiplicity 1)
Ge: 0.0000 0.5000 0.8167 (multiplicity 2)
Rh: 0.0000 0.5000 0.1665 (multiplicity 2)
Rh: 0.5000 0.5000 0.0212 (multiplicity 1)
Rh: 0.5000 0.5000 0.6526 (multiplicity 1)



Entry 4:
Here is a geometry-optimized Y2Cu2O5 structure from Materials Project. Energies are from PBE-GGA.

Output
The calculation puts the corrected total energy (MP2020 scheme) at -276.316 eV/cell. Its relative energy among the computed polymorphs is 0.006 eV per atom.

Cell lengths 10.9287, 3.5432, 12.5813 Å; angles 90.00, 90.00, 90.00 degrees
Space group Pna2_1 (No. 33)
Unique sites:
Y: 0.0426 0.2228 0.0000 (multiplicity 4)
Y: 0.2075 0.2215 0.3271 (multiplicity 4)
Cu: 0.0118 0.3377 0.7165 (multiplicity 4)
Cu: 0.2379 0.1583 0.6110 (multiplicity 4)
O: 0.0720 0.2742 0.5661 (multiplicity 4)
O: 0.0762 0.7286 0.3554 (multiplicity 4)
O: 0.1247 0.3539 0.1636 (multiplicity 4)
O: 0.1740 0.7264 0.9722 (multiplicity 4)
O: 0.1776 0.2202 0.7618 (multiplicity 4)



Table of formation energy (kJ/mol of atoms), in record order: -76.5, -244.8, -11.5, -248.8